HoLu3 after structural relaxation. Source: the Materials Project database, functional PBE-GGA.

Unit cell a=7.069 b=7.069 c=5.523 alpha=90.00 beta=90.00 gamma=120.00
Sites, in units of the cell vectors:
Lu 0.834 0.166 0.750
Lu 0.834 0.667 0.750
Lu 0.667 0.834 0.250
Lu 0.166 0.333 0.250
Ho 0.667 0.333 0.250
Lu 0.333 0.166 0.750
Ho 0.333 0.667 0.750
Lu 0.166 0.834 0.250

Computed properties:
Energy of formation   0.01 eV/f.u.
Electronic total energy   -4.534 eV/atom


Al2Cu3Se6 after structural relaxation. Source: the Materials Project database, functional PBE-GGA.

Unit cell a=17.278 b=17.278 c=17.278 alpha=161.75 beta=161.75 gamma=25.92
Sites, in units of the cell vectors:
Se 0.965 0.469 0.015
Se 0.049 0.035 0.504
Al 0.581 0.081 0.500
Cu 0.331 0.331 0.000
Cu 0.750 0.250 0.500
Se 0.296 0.781 0.996
Se 0.619 0.125 0.994
Se 0.131 0.625 0.006
Cu 0.000 0.000 0.000
Se 0.375 0.381 0.506
Se 0.454 0.951 0.985
Se 0.219 0.215 0.515
Se 0.701 0.704 0.485
Se 0.785 0.299 0.004
Al 0.831 0.831 0.000
Al 0.919 0.419 0.500
Se 0.531 0.546 0.496
Cu 0.669 0.669 0.000
Cu 0.081 0.581 0.500
Al 0.169 0.169 0.000
Se 0.875 0.869 0.494
Cu 0.419 0.919 0.500

Computed properties:
Energy of formation   -7.22 eV/f.u.
Electronic total energy   -4.104 eV/atom


Na2TlPCO7 after structural relaxation. Source: the Materials Project database, functional PBE-GGA.

Unit cell a=6.965 b=5.259 c=9.193 alpha=89.98 beta=90.00 gamma=90.00
Sites, in units of the cell vectors:
O 0.572 0.822 0.336
Na 0.998 0.227 0.217
Tl 0.750 0.233 0.632
Na 0.498 0.773 0.783
O 0.250 0.586 0.588
O 0.750 0.414 0.412
O 0.072 0.178 0.664
Tl 0.250 0.767 0.368
O 0.750 0.471 0.842
O 0.250 0.529 0.158
O 0.250 0.206 0.420
O 0.250 0.952 0.134
P 0.750 0.716 0.416
Na 0.002 0.773 0.783
C 0.250 0.730 0.070
O 0.250 0.703 0.933
P 0.250 0.284 0.584
O 0.750 0.794 0.580
Na 0.502 0.227 0.217
O 0.750 0.048 0.866
C 0.750 0.270 0.930
O 0.428 0.178 0.664
O 0.750 0.297 0.067
O 0.928 0.822 0.336

Computed properties:
Energy of formation   -25.37 eV/f.u.
Electronic total energy   -6.237 eV/atom


KCeAgTe4 after structural relaxation. Source: the Materials Project database, functional PBE-GGA.

Unit cell a=4.468 b=4.472 c=21.376 alpha=90.00 beta=90.00 gamma=90.00
Sites, in units of the cell vectors:
Ce 0.506 0.500 0.098
K 0.023 0.000 0.351
Ag 0.525 0.000 0.500
K 0.523 0.500 0.649
Te 0.505 0.500 0.945
Te 0.005 0.000 0.055
Ag 0.025 0.500 0.500
Te 0.525 0.500 0.416
Te 0.508 0.000 0.208
Te 0.508 0.000 0.792
Te 0.008 0.500 0.792
Ce 0.006 0.000 0.902
Te 0.025 0.000 0.584
Te 0.008 0.500 0.208

Computed properties:
Energy of formation   -7.59 eV/f.u.
Electronic total energy   -4.050 eV/atom


LiH4SNO4 after structural relaxation. Source: the Materials Project database, functional PBE-GGA.

Unit cell a=5.307 b=8.887 c=9.309 alpha=90.00 beta=90.00 gamma=90.00
Sites, in units of the cell vectors:
S 0.261 0.206 0.416
O 0.027 0.743 0.560
N 0.742 0.499 0.286
H 0.213 0.404 0.652
O 0.027 0.243 0.940
H 0.213 0.904 0.848
N 0.242 0.001 0.786
H 0.663 0.906 0.161
H 0.663 0.406 0.339
O 0.104 0.253 0.542
Li 0.262 0.321 0.087
O 0.527 0.757 0.060
N 0.742 0.999 0.214
H 0.713 0.096 0.152
Li 0.262 0.821 0.413
Li 0.762 0.679 0.913
S 0.261 0.706 0.084
O 0.161 0.276 0.283
O 0.661 0.224 0.783
H 0.163 0.094 0.839
O 0.257 0.040 0.402
H 0.153 0.988 0.689
O 0.104 0.753 0.958
O 0.527 0.257 0.440
H 0.431 0.021 0.770
H 0.931 0.479 0.270
H 0.931 0.979 0.230
H 0.431 0.521 0.730
S 0.761 0.794 0.584
O 0.604 0.247 0.042
O 0.257 0.540 0.098
O 0.757 0.960 0.598
H 0.153 0.488 0.811
O 0.604 0.747 0.458
O 0.661 0.724 0.717
S 0.761 0.294 0.916
H 0.163 0.594 0.661
Li 0.762 0.179 0.587
O 0.757 0.460 0.902
O 0.161 0.776 0.217
N 0.242 0.501 0.714
H 0.653 0.512 0.189
H 0.713 0.596 0.348
H 0.653 0.012 0.311

Computed properties:
Maximum piezoelectric response   1.22 C/m²
Distance to the lowest polymorph of the same formula   5 meV per atom
Energy of formation   -15.88 eV/f.u.
Electronic total energy   -5.534 eV/atom


CsLiN2 after structural relaxation. Source: the Materials Project database, functional PBE-GGA.

Unit cell a=6.624 b=6.624 c=5.209 alpha=80.52 beta=80.52 gamma=120.79
Sites, in units of the cell vectors:
N 0.234 0.432 0.606
Cs 0.155 0.845 0.750
N 0.766 0.568 0.394
N 0.568 0.766 0.894
Cs 0.845 0.155 0.250
Li 0.516 0.484 0.750
Li 0.484 0.516 0.250
N 0.432 0.234 0.106

Computed properties:
Energy of formation   4.24 eV/f.u.
Electronic total energy   -3.628 eV/atom


ZrTe5 after structural relaxation. Source: the Materials Project database, functional PBE-GGA.

Unit cell a=8.185 b=8.185 c=13.840 alpha=90.00 beta=90.00 gamma=151.33
Sites, in units of the cell vectors:
Zr 0.686 0.314 0.750
Te 0.214 0.786 0.434
Te 0.920 0.080 0.350
Zr 0.314 0.686 0.250
Te 0.080 0.920 0.850
Te 0.080 0.920 0.650
Te 0.672 0.328 0.250
Te 0.328 0.672 0.750
Te 0.786 0.214 0.934
Te 0.214 0.786 0.066
Te 0.786 0.214 0.566
Te 0.920 0.080 0.150

Computed properties:
Energy of formation   -5.21 eV/f.u.
Electronic total energy   -4.561 eV/atom


Na2LiTi3AlP6O24 after structural relaxation. Source: the Materials Project database, functional PBE-GGA.

Unit cell a=8.575 b=8.577 c=8.799 alpha=61.11 beta=61.13 gamma=60.08
Sites, in units of the cell vectors:
Al 0.144 0.145 0.566
O 0.565 0.778 0.239
P 0.455 0.041 0.748
Li 0.839 0.660 0.250
Na 0.490 0.497 0.504
O 0.067 0.714 0.263
O 0.721 0.933 0.265
O 0.360 0.999 0.425
O 0.579 0.436 0.762
Ti 0.639 0.645 0.060
Ti 0.356 0.356 0.932
O 0.930 0.277 0.731
O 0.220 0.580 0.763
O 0.133 0.284 0.078
O 0.934 0.082 0.265
O 0.418 0.564 0.237
O 0.720 0.498 0.915
P 0.757 0.458 0.742
O 0.785 0.434 0.238
P 0.527 0.968 0.256
O 0.786 0.630 0.569
P 0.247 0.530 0.256
O 0.062 0.930 0.733
Ti 0.855 0.862 0.437
O 0.000 0.785 0.583
O 0.502 0.135 0.080
O 0.437 0.221 0.762
O 0.282 0.503 0.079
Na 0.005 0.012 0.990
O 0.997 0.218 0.425
P 0.966 0.251 0.255
O 0.276 0.062 0.732
O 0.216 0.362 0.426
O 0.869 0.719 0.929
O 0.631 0.004 0.578
O 0.493 0.868 0.920
P 0.038 0.757 0.753

Computed properties:
Distance to the lowest polymorph of the same formula   3 meV per atom
Energy of formation   -110.54 eV/f.u.
Electronic total energy   -7.494 eV/atom


V4GeSe8 after structural relaxation. Source: the Materials Project database, functional PBE-GGA.

Unit cell a=7.246 b=7.246 c=7.246 alpha=60.00 beta=60.00 gamma=60.00
Sites, in units of the cell vectors:
V 0.602 0.602 0.193
Se 0.861 0.861 0.861
Se 0.861 0.861 0.418
Se 0.369 0.369 0.894
Se 0.369 0.894 0.369
Se 0.861 0.418 0.861
V 0.602 0.602 0.602
V 0.602 0.193 0.602
V 0.193 0.602 0.602
Se 0.894 0.369 0.369
Ge 0.000 0.000 0.000
Se 0.418 0.861 0.861
Se 0.369 0.369 0.369

Computed properties:
Distance to the lowest polymorph of the same formula   0 meV per atom
Energy of formation   -12.29 eV/f.u.
Electronic total energy   -5.957 eV/atom


Nd9Ni26P12 after structural relaxation. Source: the Materials Project database, functional PBE-GGA.

Unit cell a=14.381 b=14.381 c=3.869 alpha=90.00 beta=90.00 gamma=120.00
Sites, in units of the cell vectors:
Ni 0.667 0.333 0.500
Nd 0.576 0.424 0.000
Ni 0.378 0.923 0.000
Nd 0.907 0.815 0.500
Ni 0.673 0.052 0.500
Nd 0.191 0.382 0.500
Ni 0.545 0.622 0.000
P 0.482 0.241 0.500
Nd 0.576 0.151 0.000
P 0.279 0.275 0.000
Ni 0.278 0.722 0.000
Ni 0.382 0.191 0.000
P 0.996 0.275 0.000
Ni 0.809 0.191 0.000
Ni 0.278 0.556 0.000
Ni 0.199 0.600 0.500
Ni 0.077 0.455 0.000
Ni 0.444 0.722 0.000
Ni 0.809 0.618 0.000
Ni 0.545 0.923 0.000
P 0.725 0.721 0.000
Ni 0.077 0.622 0.000
Ni 0.000 0.000 0.000
Ni 0.948 0.620 0.500
P 0.486 0.514 0.500
Nd 0.185 0.093 0.500
P 0.486 0.973 0.500
Nd 0.849 0.424 0.000
Ni 0.805 0.902 0.000
P 0.725 0.004 0.000
Ni 0.380 0.052 0.500
P 0.996 0.721 0.000
P 0.759 0.518 0.500
Ni 0.098 0.195 0.000
Ni 0.400 0.801 0.500
Ni 0.378 0.455 0.000
P 0.027 0.514 0.500
Ni 0.948 0.327 0.500
Ni 0.673 0.620 0.500
Nd 0.191 0.809 0.500
Ni 0.380 0.327 0.500
P 0.279 0.004 0.000
Ni 0.400 0.600 0.500
Ni 0.098 0.902 0.000
Nd 0.907 0.093 0.500
Nd 0.618 0.809 0.500
P 0.759 0.241 0.500

Computed properties:
Energy of formation   -36.61 eV/f.u.
Electronic total energy   -6.272 eV/atom


TeSeO4 after structural relaxation. Source: the Materials Project database, functional PBE-GGA.

Unit cell a=4.491 b=6.851 c=7.659 alpha=116.57 beta=107.05 gamma=90.01
Sites, in units of the cell vectors:
O 0.865 0.422 0.218
O 0.147 0.578 0.781
O 0.147 0.204 0.782
Te 0.131 0.891 0.783
O 0.799 0.952 0.903
Te 0.848 0.109 0.218
O 0.866 0.797 0.219
O 0.396 0.048 0.097
Se 0.620 0.626 0.251
O 0.685 0.756 0.513
O 0.672 0.244 0.487
Se 0.869 0.375 0.749

Computed properties:
Maximum piezoelectric response   1.75 C/m²
Energy of formation   -8.09 eV/f.u.
Electronic total energy   -5.296 eV/atom


Er6Ni20As13 after structural relaxation. Source: the Materials Project database, functional PBE-GGA.

Unit cell a=13.072 b=13.072 c=3.841 alpha=90.00 beta=90.00 gamma=120.00
Sites, in units of the cell vectors:
Ni 0.801 0.908 0.000
Ni 0.681 0.751 0.500
As 0.718 0.950 0.500
As 0.524 0.385 0.000
As 0.050 0.768 0.500
Ni 0.069 0.319 0.500
Ni 0.915 0.842 0.500
Ni 0.435 0.415 0.500
Ni 0.019 0.437 0.000
As 0.474 0.612 0.500
As 0.138 0.526 0.500
Er 0.810 0.281 0.500
Ni 0.667 0.333 0.000
As 0.768 0.715 0.000
As 0.861 0.476 0.000
Er 0.719 0.529 0.500
Er 0.528 0.809 0.000
Er 0.281 0.472 0.000
As 0.388 0.862 0.500
Ni 0.158 0.074 0.500
Ni 0.333 0.667 0.500
Ni 0.755 0.076 0.000
As 0.285 0.053 0.000
Ni 0.926 0.085 0.500
Ni 0.563 0.582 0.000
Ni 0.321 0.245 0.000
As 0.947 0.232 0.000
Ni 0.107 0.199 0.000
As 0.232 0.282 0.500
Ni 0.924 0.679 0.000
Ni 0.585 0.020 0.500
Ni 0.249 0.931 0.500
Ni 0.418 0.981 0.000
As 0.000 0.000 0.000
Er 0.471 0.190 0.500
As 0.615 0.139 0.000
Ni 0.092 0.893 0.000
Er 0.191 0.719 0.000
Ni 0.980 0.565 0.500

Computed properties:
Energy of formation   -26.57 eV/f.u.
Electronic total energy   -5.901 eV/atom


Q: What is the energy of formation in the seventh record?
A: -5.21 eV/f.u.